(1)
Entry from the Materials Project database: Ba3NaIr2O9 after structural relaxation (GGA-PBE).

Computed properties:
V	458.4	Å³ per cell
E_form	-2.1480	eV per atom
mass density	7.0	Mg/m³
space-group type	No. 15
crystal system	monoclinic
energy relative to the lowest polymorph listed for this composition	0.006	eV per atom

Cell and atoms, written as CIF:
```
data_Ba3NaIr2O9
_symmetry_space_group_name_H-M 'P 1'
_symmetry_Int_Tables_number 1
_cell_length_a 5.961
_cell_length_b 5.961
_cell_length_c 14.874
_cell_angle_alpha 91.10
_cell_angle_beta 91.10
_cell_angle_gamma 119.78
loop_
_symmetry_equiv_pos_as_xyz
'x,y,z'
loop_
_atom_site_label
_atom_site_fract_x
_atom_site_fract_y
_atom_site_fract_z
_atom_site_occupancy
Ba1 0.001 0.999 0.750 1
Ba2 0.328 0.660 0.415 1
Ba3 0.340 0.672 0.085 1
Ba4 0.660 0.328 0.915 1
Ba5 0.672 0.340 0.585 1
Ba6 0.999 0.001 0.250 1
Na1 0.000 0.000 0.000 1
Na2 0.000 0.000 0.500 1
Ir1 0.316 0.652 0.843 1
Ir2 0.348 0.684 0.657 1
Ir3 0.652 0.316 0.343 1
Ir4 0.684 0.348 0.157 1
O1 0.036 0.519 0.740 1
O2 0.143 0.794 0.909 1
O3 0.146 0.330 0.902 1
O4 0.206 0.389 0.577 1
O5 0.206 0.857 0.591 1
O6 0.330 0.146 0.402 1
O7 0.389 0.206 0.077 1
O8 0.481 0.519 0.750 1
O9 0.481 0.964 0.760 1
O10 0.519 0.036 0.240 1
O11 0.519 0.481 0.250 1
O12 0.611 0.794 0.923 1
O13 0.670 0.854 0.598 1
O14 0.794 0.143 0.409 1
O15 0.794 0.611 0.423 1
O16 0.854 0.670 0.098 1
O17 0.857 0.206 0.091 1
O18 0.964 0.481 0.260 1
```

(2)
Entry from the Materials Project database: P after structural relaxation (GGA-PBE).

Computed properties:
V	2010.3	Å³ per cell
E_form	0.0046	eV per atom
mass density	2.1	Mg/m³
space-group type	No. 13
crystal system	monoclinic
energy relative to the lowest polymorph listed for this composition	0.005	eV per atom

Cell and atoms, written as CIF:
```
data_P
_symmetry_space_group_name_H-M 'P 1'
_symmetry_Int_Tables_number 1
_cell_length_a 9.290
_cell_length_b 9.261
_cell_length_c 24.112
_cell_angle_alpha 90.00
_cell_angle_beta 104.29
_cell_angle_gamma 90.00
loop_
_symmetry_equiv_pos_as_xyz
'x,y,z'
loop_
_atom_site_label
_atom_site_fract_x
_atom_site_fract_y
_atom_site_fract_z
_atom_site_occupancy
P1 0.002 0.163 0.053 1
P2 0.002 0.837 0.553 1
P3 0.045 0.052 0.678 1
P4 0.045 0.392 0.080 1
P5 0.045 0.608 0.580 1
P6 0.045 0.948 0.178 1
P7 0.052 0.317 0.296 1
P8 0.052 0.683 0.796 1
P9 0.076 0.215 0.882 1
P10 0.076 0.785 0.382 1
P11 0.141 0.100 0.325 1
P12 0.141 0.900 0.825 1
P13 0.144 0.386 0.174 1
P14 0.144 0.614 0.674 1
P15 0.172 0.035 0.119 1
P16 0.172 0.965 0.619 1
P17 0.208 0.140 0.419 1
P18 0.208 0.860 0.919 1
P19 0.212 0.323 0.831 1
P20 0.212 0.677 0.331 1
P21 0.245 0.085 0.949 1
P22 0.245 0.915 0.449 1
P23 0.251 0.406 0.051 1
P24 0.251 0.594 0.551 1
P25 0.298 0.201 0.179 1
P26 0.298 0.799 0.679 1
P27 0.312 0.364 0.568 1
P28 0.312 0.636 0.068 1
P29 0.313 0.487 0.896 1
P30 0.313 0.513 0.396 1
P31 0.409 0.179 0.836 1
P32 0.409 0.821 0.336 1
P33 0.415 0.355 0.663 1
P34 0.415 0.645 0.163 1
P35 0.422 0.280 0.117 1
P36 0.422 0.720 0.617 1
P37 0.438 0.451 0.332 1
P38 0.438 0.549 0.832 1
P39 0.461 0.133 0.930 1
P40 0.461 0.867 0.430 1
P41 0.483 0.358 0.963 1
P42 0.483 0.642 0.463 1
P43 0.517 0.358 0.537 1
P44 0.517 0.642 0.037 1
P45 0.539 0.133 0.570 1
P46 0.539 0.867 0.070 1
P47 0.562 0.451 0.168 1
P48 0.562 0.549 0.668 1
P49 0.578 0.280 0.383 1
P50 0.578 0.720 0.883 1
P51 0.585 0.355 0.837 1
P52 0.585 0.645 0.337 1
P53 0.591 0.179 0.664 1
P54 0.591 0.821 0.164 1
P55 0.687 0.487 0.604 1
P56 0.687 0.513 0.104 1
P57 0.688 0.364 0.932 1
P58 0.688 0.636 0.432 1
P59 0.702 0.201 0.321 1
P60 0.702 0.799 0.821 1
P61 0.749 0.406 0.449 1
P62 0.749 0.594 0.949 1
P63 0.755 0.085 0.551 1
P64 0.755 0.915 0.051 1
P65 0.788 0.323 0.669 1
P66 0.788 0.677 0.169 1
P67 0.792 0.140 0.081 1
P68 0.792 0.860 0.581 1
P69 0.828 0.035 0.381 1
P70 0.828 0.965 0.881 1
P71 0.856 0.386 0.326 1
P72 0.856 0.614 0.826 1
P73 0.859 0.100 0.175 1
P74 0.859 0.900 0.675 1
P75 0.924 0.215 0.618 1
P76 0.924 0.785 0.118 1
P77 0.948 0.317 0.204 1
P78 0.948 0.683 0.704 1
P79 0.955 0.052 0.822 1
P80 0.955 0.392 0.420 1
P81 0.955 0.608 0.920 1
P82 0.955 0.948 0.322 1
P83 0.998 0.163 0.447 1
P84 0.998 0.837 0.947 1
```